Na6ZnSi6Sn7S6O48 GGA-PBE relaxed; ΔE_f = -51.8 kcal/mol of atoms; uncorrected energy = -6.29 eV per atom
1.0
8.862 0.000 0.000
-0.003 15.393 0.000
-0.029 -0.059 22.992
Na Zn Si Sn S O
18 3 18 21 18 144
Direct
0.000 0.000 0.000
0.000 0.335 0.840
0.003 0.671 0.176
0.133 0.497 0.256
0.177 0.193 0.260
0.311 0.688 0.760
0.354 0.999 0.760
0.500 0.836 0.845
0.503 0.171 0.674
0.503 0.508 0.005
0.504 0.832 0.339
0.509 0.176 0.177
0.511 0.504 0.506
0.640 0.999 0.259
0.679 0.687 0.258
0.995 0.011 0.506
0.997 0.333 0.335
0.998 0.666 0.678
0.493 0.837 0.694
0.503 0.828 0.195
0.995 0.336 0.200
0.141 0.856 0.756
0.146 0.151 0.760
0.209 0.170 0.425
0.209 0.500 0.758
0.291 0.667 0.925
0.352 0.652 0.258
0.354 0.023 0.926
0.359 0.356 0.259
0.644 0.023 0.424
0.704 0.665 0.423
0.792 0.499 0.257
0.793 0.168 0.923
0.850 0.187 0.593
0.852 0.150 0.256
0.853 0.523 0.923
0.855 0.479 0.591
0.856 0.859 0.258
0.857 0.815 0.923
0.006 0.008 0.659
0.007 0.670 0.825
0.011 0.003 0.864
0.495 0.507 0.863
0.498 0.502 0.162
0.500 0.166 0.825
0.501 0.834 0.983
0.502 0.172 0.324
0.503 0.501 0.656
0.505 0.164 0.023
0.506 0.164 0.525
0.507 0.506 0.356
0.510 0.837 0.486
0.986 0.010 0.363
0.988 0.662 0.527
0.989 0.337 0.986
0.993 0.672 0.319
0.993 0.999 0.158
0.994 0.328 0.492
0.997 0.669 0.018
0.999 0.335 0.694
0.145 0.813 0.426
0.146 0.482 0.091
0.147 0.522 0.425
0.148 0.189 0.091
0.209 0.836 0.092
0.289 0.000 0.258
0.294 0.335 0.590
0.353 0.691 0.590
0.354 0.315 0.926
0.355 0.979 0.591
0.644 0.356 0.759
0.645 0.981 0.092
0.646 0.318 0.425
0.648 0.688 0.091
0.649 0.649 0.757
0.704 0.335 0.092
0.709 0.001 0.758
0.792 0.836 0.593
0.065 0.898 0.697
0.067 0.106 0.815
0.070 0.246 0.752
0.070 0.758 0.760
0.073 0.436 0.432
0.076 0.570 0.085
0.077 0.773 0.479
0.077 0.900 0.420
0.080 0.099 0.096
0.080 0.228 0.038
0.080 0.561 0.372
0.082 0.442 0.143
0.104 0.259 0.430
0.105 0.414 0.751
0.109 0.757 0.087
0.111 0.079 0.420
0.111 0.590 0.762
0.111 0.918 0.096
0.122 0.426 0.038
0.123 0.240 0.144
0.125 0.759 0.373
0.125 0.921 0.812
0.126 0.578 0.478
0.141 0.089 0.701
0.169 0.652 0.267
0.174 0.016 0.923
0.180 0.346 0.252
0.185 0.683 0.582
0.188 0.323 0.933
0.188 0.987 0.594
0.196 0.647 0.985
0.197 0.020 0.204
0.197 0.986 0.310
0.204 0.352 0.538
0.205 0.320 0.643
0.206 0.687 0.864
0.300 0.850 0.039
0.301 0.824 0.145
0.305 0.187 0.365
0.311 0.155 0.484
0.311 0.821 0.433
0.313 0.512 0.421
0.316 0.490 0.094
0.317 0.524 0.700
0.318 0.181 0.085
0.320 0.482 0.813
0.327 0.846 0.750
0.336 0.157 0.764
0.363 0.588 0.200
0.372 0.085 0.984
0.374 0.262 0.872
0.376 0.418 0.317
0.377 0.741 0.643
0.382 0.924 0.538
0.383 0.081 0.262
0.389 0.925 0.250
0.391 0.257 0.584
0.391 0.415 0.596
0.395 0.753 0.931
0.396 0.580 0.922
0.422 0.602 0.594
0.422 0.731 0.537
0.423 0.068 0.586
0.423 0.277 0.979
0.423 0.942 0.644
0.426 0.401 0.920
0.429 0.256 0.263
0.431 0.060 0.865
0.434 0.611 0.315
0.434 0.744 0.252
0.435 0.930 0.932
0.437 0.393 0.199
0.559 0.928 0.429
0.571 0.062 0.364
0.572 0.269 0.764
0.572 0.403 0.420
0.574 0.734 0.749
0.575 0.599 0.095
0.575 0.610 0.808
0.576 0.071 0.088
0.576 0.393 0.705
0.578 0.729 0.039
0.579 0.278 0.478
0.581 0.944 0.145
0.598 0.578 0.421
0.598 0.752 0.431
0.603 0.256 0.084
0.607 0.415 0.095
0.608 0.925 0.750
0.609 0.081 0.761
0.618 0.410 0.811
0.618 0.928 0.040
0.624 0.594 0.703
0.624 0.739 0.144
0.626 0.081 0.482
0.627 0.264 0.372
0.663 0.181 0.587
0.667 0.150 0.263
0.667 0.492 0.598
0.670 0.507 0.916
0.674 0.852 0.252
0.675 0.823 0.931
0.688 0.193 0.866
0.693 0.528 0.199
0.696 0.820 0.644
0.697 0.154 0.983
0.697 0.482 0.316
0.700 0.849 0.539
0.795 0.349 0.038
0.797 0.017 0.704
0.797 0.320 0.143
0.799 0.988 0.810
0.806 0.651 0.482
0.807 0.686 0.366
0.809 0.348 0.754
0.813 0.326 0.430
0.813 0.656 0.762
0.814 0.991 0.094
0.816 0.679 0.086
0.826 0.009 0.423
0.866 0.578 0.984
0.868 0.086 0.199
0.872 0.753 0.866
0.876 0.248 0.650
0.880 0.423 0.531
0.884 0.919 0.315
0.887 0.914 0.597
0.891 0.081 0.918
0.891 0.757 0.585
0.895 0.588 0.263
0.901 0.254 0.931
0.907 0.420 0.252
0.926 0.088 0.598
0.927 0.761 0.261
0.929 0.563 0.865
0.929 0.911 0.918
0.930 0.224 0.534
0.931 0.439 0.649
0.932 0.779 0.984
0.934 0.577 0.588
0.935 0.241 0.250
0.937 0.428 0.930
0.937 0.894 0.199
0.940 0.109 0.312

***

Ca4MgB4H6C2O18 GGA-PBE relaxed; ΔE_f = -57.3 kcal/mol of atoms; uncorrected energy = -6.82 eV per atom
1.0
8.964 -4.355 0.000
8.964 4.355 0.000
-0.939 0.000 4.426
Ca Mg B H C O
4 1 4 6 2 18
Direct
0.075 0.613 0.841
0.387 0.925 0.159
0.613 0.075 0.841
0.925 0.387 0.159
0.000 0.000 0.000
0.097 0.097 0.619
0.224 0.776 0.500
0.776 0.224 0.500
0.903 0.903 0.381
0.213 0.213 0.699
0.381 0.607 0.794
0.393 0.619 0.206
0.607 0.381 0.794
0.619 0.393 0.206
0.787 0.787 0.301
0.305 0.305 0.249
0.695 0.695 0.751
0.080 0.808 0.280
0.101 0.101 0.311
0.154 0.415 0.351
0.175 0.175 0.824
0.192 0.920 0.720
0.277 0.635 0.674
0.343 0.343 0.035
0.365 0.723 0.326
0.415 0.154 0.351
0.585 0.846 0.649
0.635 0.277 0.674
0.657 0.657 0.965
0.723 0.365 0.326
0.808 0.080 0.280
0.825 0.825 0.176
0.846 0.585 0.649
0.899 0.899 0.689
0.920 0.192 0.720

***

VS2 GGA-PBE relaxed; ΔE_f = -27.3 kcal/mol of atoms; uncorrected energy = -6.63 eV per atom
1.0
1.590 0.918 7.520
-1.590 0.918 7.520
0.000 -1.836 7.520
V S
1 2
Direct
0.000 0.000 0.000
0.399 0.399 0.399
0.601 0.601 0.601

***

Ho2CN2O2 GGA-PBE relaxed; ΔE_f = -55.3 kcal/mol of atoms; uncorrected energy = -8.63 eV per atom
1.0
3.713 0.000 0.000
-1.856 3.215 0.000
0.000 0.000 8.181
Ho C N O
2 1 2 2
Direct
0.333 0.667 0.323
0.667 0.333 0.677
0.000 0.000 0.000
0.000 0.000 0.151
0.000 0.000 0.849
0.333 0.667 0.603
0.667 0.333 0.397

***

SrCaSmBiO6 GGA-PBE relaxed; ΔE_f = -60.2 kcal/mol of atoms; uncorrected energy = -6.40 eV per atom; offset from the most stable computed form = 0.1956 eV per atom
1.0
0.000 4.340 4.340
4.340 0.000 4.340
4.340 4.340 0.000
Sr Ca Sm Bi O
1 1 1 1 6
Direct
0.000 0.000 0.000
0.500 0.500 0.500
0.750 0.750 0.750
0.250 0.250 0.250
0.008 0.008 0.492
0.008 0.492 0.008
0.008 0.492 0.492
0.492 0.008 0.008
0.492 0.008 0.492
0.492 0.492 0.008

***

Na2S GGA-PBE relaxed; ΔE_f = -26.0 kcal/mol of atoms; uncorrected energy = -3.22 eV per atom
1.0
4.664 0.000 0.000
-2.332 4.039 0.000
0.000 0.000 6.636
Na S
4 2
Direct
0.000 0.000 0.000
0.000 0.000 0.500
0.333 0.667 0.250
0.667 0.333 0.750
0.333 0.667 0.750
0.667 0.333 0.250

***

Rb3Hg GGA-PBE relaxed; ΔE_f = -1.0 kcal/mol of atoms; uncorrected energy = -0.86 eV per atom
1.0
6.330 0.000 0.000
0.000 6.330 0.000
0.000 0.000 6.330
Rb Hg
3 1
Direct
0.000 0.000 0.500
0.000 0.500 0.000
0.500 0.000 0.000
0.500 0.500 0.500

***

K2HfF6 GGA-PBE relaxed; ΔE_f = -86.0 kcal/mol of atoms; uncorrected energy = -6.05 eV per atom
1.0
6.576 0.000 0.000
0.000 6.576 0.000
0.000 0.000 8.841
K Hf F
4 2 12
Direct
0.000 0.500 0.250
0.000 0.500 0.750
0.500 0.000 0.250
0.500 0.000 0.750
0.000 0.000 0.000
0.500 0.500 0.500
0.000 0.000 0.227
0.000 0.000 0.773
0.103 0.288 0.000
0.212 0.397 0.500
0.288 0.897 0.000
0.397 0.788 0.500
0.500 0.500 0.273
0.500 0.500 0.727
0.603 0.212 0.500
0.712 0.103 0.000
0.788 0.603 0.500
0.897 0.712 0.000

***

KRbS2O8 GGA-PBE relaxed; ΔE_f = -43.0 kcal/mol of atoms; uncorrected energy = -5.57 eV per atom
1.0
7.295 0.000 0.000
0.000 14.611 0.000
-1.934 0.000 8.200
K Rb S O
4 4 8 32
Direct
0.090 0.044 0.276
0.090 0.456 0.776
0.910 0.544 0.224
0.910 0.956 0.724
0.466 0.212 0.652
0.466 0.288 0.152
0.534 0.712 0.848
0.534 0.788 0.348
0.003 0.193 0.853
0.003 0.307 0.353
0.418 0.538 0.233
0.418 0.962 0.733
0.582 0.038 0.267
0.582 0.462 0.767
0.997 0.693 0.647
0.997 0.807 0.147
0.063 0.114 0.961
0.063 0.386 0.461
0.086 0.660 0.816
0.086 0.840 0.316
0.159 0.743 0.604
0.159 0.757 0.104
0.160 0.244 0.352
0.160 0.256 0.852
0.257 0.008 0.622
0.257 0.492 0.122
0.344 0.589 0.359
0.344 0.911 0.859
0.440 0.530 0.688
0.440 0.970 0.188
0.490 0.106 0.354
0.490 0.394 0.854
0.510 0.606 0.146
0.510 0.894 0.646
0.560 0.030 0.812
0.560 0.470 0.312
0.656 0.089 0.141
0.656 0.411 0.641
0.743 0.508 0.878
0.743 0.992 0.378
0.840 0.744 0.148
0.840 0.756 0.648
0.841 0.243 0.896
0.841 0.257 0.396
0.914 0.160 0.684
0.914 0.340 0.184
0.937 0.614 0.539
0.937 0.886 0.039

***

What did the seventh record say?
Rb3Hg GGA-PBE relaxed; ΔE_f = -1.0 kcal/mol of atoms; uncorrected energy = -0.86 eV per atom
1.0
6.330 0.000 0.000
0.000 6.330 0.000
0.000 0.000 6.330
Rb Hg
3 1
Direct
0.000 0.000 0.500
0.000 0.500 0.000
0.500 0.000 0.000
0.500 0.500 0.500

***

Among the records above, which one has the lowest uncorrected energy? Ho2CN2O2